Sc2Se3 | r2SCAN | optimized geometry

**VASP energy**: -15.110 eV/atom
**Total magnetization**: 0.0 μB/cell
**DFT formation energy**: -9.82 eV/f.u.
**ρ**: 4.5 g/cm³

Cell lengths 7.736, 10.901, 23.111 Å; angles 90.00, 90.00, 90.00 degrees
Space group Fddd (No. 70, origin choice 2)
Inequivalent atoms, fractional coordinates:
Sc1 0.125 0.125 0.042 (multiplicity 16)
Sc2 0.125 0.125 0.376 (multiplicity 16)
Se1 0.120 0.372 0.207 (multiplicity 32)
Se2 0.120 0.375 0.375 (multiplicity 16)